Entry 1:
! BaSrMo2O6, relaxed, DFT PBE with a Hubbard U; values from VASP
&SYSTEM
  ibrav = 0, nat = 10, ntyp = 4
/
ATOMIC_SPECIES
Mo 95.94 Mo.upf
O 16.00 O.upf
Ba 137.33 Ba.upf
Sr 87.62 Sr.upf
CELL_PARAMETERS angstrom
0.000 4.117 4.117
4.117 0.000 4.117
4.117 4.117 0.000
ATOMIC_POSITIONS angstrom
Mo 6.175 6.175 6.175
Mo 2.058 2.058 2.058
O 2.058 2.058 4.117
O 2.058 0.000 2.058
O 2.058 4.117 2.058
O 4.117 2.058 2.058
O 2.058 2.058 0.000
O 0.000 2.058 2.058
Ba 4.117 4.117 4.117
Sr 0.000 0.000 0.000
! SG ... Fm-3m, No. 225
! Energy with MP2020 corrections ... -8.0088 eV per atom
! Size of the total moment ... 4.0 μB/f.u.


Entry 2:
! BaTb2Mo4O16, relaxed, DFT PBE with a Hubbard U; values from VASP
&SYSTEM
  ibrav = 0, nat = 46, ntyp = 4
/
ATOMIC_SPECIES
O 16.00 O.upf
Mo 95.94 Mo.upf
Tb 158.93 Tb.upf
Ba 137.33 Ba.upf
CELL_PARAMETERS angstrom
-0.503 -6.877 -0.441
5.141 4.544 -0.811
4.809 -1.765 18.882
ATOMIC_POSITIONS angstrom
O 5.586 -2.738 7.857
O 8.927 -0.437 16.703
O 0.519 -3.660 0.926
O 5.994 -5.322 12.529
O 5.649 0.972 10.189
O 2.379 -5.523 9.982
O 8.547 -2.590 14.537
O 3.662 -4.100 14.685
O 3.260 -0.702 7.193
O 4.227 -0.522 12.473
O 8.174 -3.249 17.286
O 4.319 -1.428 0.961
O 6.742 -4.932 15.487
O 5.128 -2.670 16.669
O 3.860 -1.360 9.772
O 6.492 -0.749 15.066
O 6.006 -0.674 5.937
O 3.441 -3.424 11.693
O 3.682 2.860 0.298
O 6.187 -3.396 10.437
O 7.067 1.425 7.647
O 1.272 -0.849 0.343
O 6.924 -1.065 11.902
O 2.523 -3.033 5.727
O 3.797 -5.070 7.441
O 5.785 0.002 2.944
O 5.219 -3.576 5.156
O 5.764 -6.958 17.331
O 2.954 -3.349 2.564
O 0.899 -1.508 3.093
O 2.705 0.834 2.142
O 3.453 1.224 5.101
Mo 6.928 0.658 11.527
Mo 1.580 -4.416 2.279
Mo 5.200 3.748 0.936
Mo 4.247 -7.846 16.693
Mo 2.613 -7.233 10.704
Mo 2.518 -4.756 6.103
Mo 7.866 0.318 15.351
Mo 6.833 3.135 6.925
Tb 6.117 -4.561 17.697
Tb 4.058 -3.809 9.483
Tb 5.388 -0.289 8.147
Tb 3.329 0.463 -0.068
Ba 3.701 -1.243 4.083
Ba 5.745 -2.855 13.547
! SG ... C2/c, No. 15
! Energy with MP2020 corrections ... -8.4484 eV per atom
! Size of the total moment ... 0.0 μB/f.u.


Entry 3:
! Ba3TiMoO8, relaxed, DFT PBE with a Hubbard U; values from VASP
&SYSTEM
  ibrav = 0, nat = 13, ntyp = 4
/
ATOMIC_SPECIES
O 16.00 O.upf
Ba 137.33 Ba.upf
Mo 95.94 Mo.upf
Ti 47.87 Ti.upf
CELL_PARAMETERS angstrom
-3.024 -5.238 0.000
3.024 -5.238 0.000
3.024 1.746 7.206
ATOMIC_POSITIONS angstrom
O 1.480 -6.130 2.194
O 0.000 -5.262 4.987
O 3.024 -3.455 2.194
O 1.532 -2.608 4.987
O 1.544 -0.892 2.194
O 0.000 -3.492 0.251
O 1.492 -7.846 4.987
O 3.024 -5.238 7.048
Ba 0.000 -3.492 2.919
Ba 0.000 -3.492 6.964
Ba 3.024 -5.238 4.454
Mo 0.000 -6.985 1.623
Ti 3.024 -1.746 5.638
! SG ... R3m, No. 160
! Energy with MP2020 corrections ... -7.9549 eV per atom
! Size of the total moment ... 0.0 μB/f.u.


Entry 4:
! Ba2Tl2Mo3O10, relaxed, DFT PBE with a Hubbard U; values from VASP
&SYSTEM
  ibrav = 0, nat = 17, ntyp = 4
/
ATOMIC_SPECIES
O 16.00 O.upf
Mo 95.94 Mo.upf
Ba 137.33 Ba.upf
Tl 204.38 Tl.upf
CELL_PARAMETERS angstrom
3.928 0.000 0.000
-0.004 3.936 0.000
-1.579 -1.814 18.610
ATOMIC_POSITIONS angstrom
O 2.113 0.296 0.109
O 0.172 -0.175 7.981
O 0.152 2.267 0.103
O 0.158 2.321 15.448
O 0.181 0.370 13.443
O 2.128 0.350 15.466
O 0.147 2.231 3.144
O 2.110 0.259 3.356
O 2.143 1.818 9.969
O 2.126 2.186 5.802
Mo 2.115 2.229 3.023
Mo 0.155 0.352 15.424
Mo 2.124 2.260 0.161
Ba 2.138 2.335 13.084
Ba 0.157 0.264 5.359
Tl 2.132 2.446 7.949
Tl 0.175 0.306 10.323
! SG ... P1, No. 1
! Energy with MP2020 corrections ... -7.0974 eV per atom
! Size of the total moment ... 4.0 μB/f.u.


Entry 5:
! Ba2TmMoO6, relaxed, DFT PBE with a Hubbard U; values from VASP
&SYSTEM
  ibrav = 0, nat = 10, ntyp = 4
/
ATOMIC_SPECIES
O 16.00 O.upf
Ba 137.33 Ba.upf
Mo 95.94 Mo.upf
Tm 168.93 Tm.upf
CELL_PARAMETERS angstrom
0.000 4.224 4.224
4.224 0.000 4.224
4.224 4.224 0.000
ATOMIC_POSITIONS angstrom
O 4.224 4.224 6.438
O 6.438 4.224 4.224
O 4.224 2.010 4.224
O 4.224 4.224 2.010
O 4.224 6.438 4.224
O 2.010 4.224 4.224
Ba 6.336 6.336 6.336
Ba 2.112 2.112 2.112
Mo 0.000 0.000 0.000
Tm 4.224 4.224 4.224
! SG ... Fm-3m, No. 225
! Energy with MP2020 corrections ... -7.9539 eV per atom
! Size of the total moment ... 1.0 μB/f.u.


Entry 6:
! BaTm2Mo4O16, relaxed, DFT PBE with a Hubbard U; values from VASP
&SYSTEM
  ibrav = 0, nat = 46, ntyp = 4
/
ATOMIC_SPECIES
O 16.00 O.upf
Mo 95.94 Mo.upf
Tm 168.93 Tm.upf
Ba 137.33 Ba.upf
CELL_PARAMETERS angstrom
-0.724 -2.733 6.226
2.271 -2.267 -6.037
18.506 5.063 4.711
ATOMIC_POSITIONS angstrom
O 6.248 -0.243 3.296
O 8.378 -1.306 5.104
O 0.987 -1.144 0.436
O 3.200 -3.314 0.004
O 6.269 0.535 -0.970
O 3.733 -2.353 2.602
O 19.066 1.207 4.464
O 16.794 0.682 6.084
O 9.703 -1.342 2.557
O 3.049 0.212 1.816
O 2.281 -1.304 -3.773
O 14.362 2.886 6.138
O 13.805 0.305 1.603
O 19.062 1.448 1.602
O 16.320 2.416 2.298
O 10.490 -0.859 -1.752
O 9.563 0.922 6.651
O 11.675 1.369 -0.205
O 0.991 -1.385 3.297
O 12.153 -0.829 3.589
O 3.259 -0.620 -1.184
O 7.261 -2.757 2.733
O 13.784 -0.473 5.869
O 10.350 1.404 2.343
O 8.442 -1.709 0.040
O 11.611 1.772 4.860
O 17.004 -0.149 3.083
O 7.900 0.892 1.311
O 17.773 1.366 8.673
O 16.853 3.377 4.896
O 12.792 2.819 2.167
O 5.691 -2.824 -1.238
Mo 3.730 -1.766 -4.883
Mo 13.484 0.878 -0.042
Mo 10.347 0.356 8.268
Mo 16.323 1.829 9.783
Mo 9.706 -0.293 -3.368
Mo 17.372 1.957 0.949
Mo 2.681 -1.895 3.951
Mo 6.569 -0.815 4.941
Tm 10.156 0.099 4.413
Tm 9.897 -0.036 0.486
Tm 18.262 2.357 6.479
Tm 1.791 -2.294 -1.579
Ba 14.563 1.283 3.996
Ba 5.490 -1.220 0.904
! SG ... C2/c, No. 15
! Energy with MP2020 corrections ... -8.4386 eV per atom
! Size of the total moment ... 0.0 μB/f.u.


Entry 7:
! Ba2VMoO6, relaxed, DFT PBE with a Hubbard U; values from VASP
&SYSTEM
  ibrav = 0, nat = 20, ntyp = 4
/
ATOMIC_SPECIES
Ba 137.33 Ba.upf
O 16.00 O.upf
V 50.94 V.upf
Mo 95.94 Mo.upf
CELL_PARAMETERS angstrom
-1.895 0.036 5.441
7.205 2.858 2.490
-1.899 5.395 -0.698
ATOMIC_POSITIONS angstrom
Ba 4.454 4.841 1.519
Ba 0.852 3.412 0.274
Ba 0.854 0.733 3.343
Ba 4.456 2.162 4.588
O -2.894 4.143 3.618
O -1.898 4.124 0.759
O -0.900 1.289 1.125
O 2.606 2.856 2.491
O 5.491 2.178 1.898
O 1.704 5.416 2.160
O 3.419 4.825 4.209
O -0.008 3.465 3.025
O 0.805 5.434 4.743
O 1.714 0.680 0.592
O -1.896 1.308 3.985
O 1.706 2.873 5.074
V 0.000 0.000 0.000
V 1.705 4.145 3.617
Mo 3.602 1.429 1.245
Mo -1.897 2.716 2.372
! Energy with MP2020 corrections ... -8.0211 eV per atom
! Size of the total moment ... 0.0 μB/f.u.


Entry 8:
! Ba2ZnMoO6, relaxed, DFT PBE with a Hubbard U; values from VASP
&SYSTEM
  ibrav = 0, nat = 10, ntyp = 4
/
ATOMIC_SPECIES
Mo 95.94 Mo.upf
O 16.00 O.upf
Zn 65.41 Zn.upf
Ba 137.33 Ba.upf
CELL_PARAMETERS angstrom
-1.893 -5.344 -1.348
0.280 -4.273 3.952
-4.886 -2.056 2.419
ATOMIC_POSITIONS angstrom
Mo 0.000 0.000 0.000
O -3.961 -6.095 4.536
O -4.108 -3.853 2.463
O -1.397 -5.016 3.267
O -2.391 -7.820 2.560
O -2.538 -5.578 0.486
O -5.102 -6.657 1.755
Zn -3.250 -5.837 2.511
Ba -4.874 -8.755 3.767
Ba -1.625 -2.918 1.256
! SG ... Fm-3m, No. 225
! Energy with MP2020 corrections ... -7.1034 eV per atom
! Size of the total moment ... 0.0 μB/f.u.


Entry 9:
! Ba6Na2Nb2V2O17, relaxed, DFT PBE with a Hubbard U; values from VASP
&SYSTEM
  ibrav = 0, nat = 29, ntyp = 5
/
ATOMIC_SPECIES
Na 22.99 Na.upf
O 16.00 O.upf
Ba 137.33 Ba.upf
V 50.94 V.upf
Nb 92.91 Nb.upf
CELL_PARAMETERS angstrom
2.980 5.176 0.000
-2.980 5.176 0.000
0.000 0.057 15.055
ATOMIC_POSITIONS angstrom
Na 2.977 5.216 11.264
Na 2.977 5.192 3.791
O -0.144 3.570 14.900
O 0.000 5.204 7.528
O -1.490 7.792 7.528
O 1.405 6.133 12.883
O 1.405 4.275 2.172
O 1.394 6.115 5.160
O -0.144 6.838 0.156
O -1.424 6.134 12.799
O -0.012 8.574 12.878
O 1.394 4.293 9.895
O -1.393 4.291 9.896
O -0.012 1.834 2.177
O -1.393 6.117 5.160
O -0.001 8.533 5.159
O -0.001 1.875 9.896
O -1.424 4.274 2.257
O -1.490 2.617 7.527
Ba -0.005 3.495 12.250
Ba -0.005 6.913 2.806
Ba -2.980 5.204 7.528
Ba -0.001 3.472 5.258
Ba -2.929 5.176 0.000
Ba -0.001 6.936 9.797
V -0.029 3.473 1.566
V -0.029 6.935 13.489
Nb 0.000 3.483 8.832
Nb 0.000 6.925 6.223
! SG ... C2, No. 5
! Relative energy among the computed polymorphs ... 0.0 kJ/mol of atoms
! Energy with MP2020 corrections ... -7.7253 eV per atom
! Size of the total moment ... 0.0 μB/f.u.


Entry 10:
! Ba6Na2Nb2V2O17, relaxed, DFT PBE with a Hubbard U; values from VASP
&SYSTEM
  ibrav = 0, nat = 58, ntyp = 5
/
ATOMIC_SPECIES
Ba 137.33 Ba.upf
O 16.00 O.upf
Nb 92.91 Nb.upf
V 50.94 V.upf
Na 22.99 Na.upf
CELL_PARAMETERS angstrom
-1.988 4.191 -3.816
0.859 -5.631 -1.905
-28.758 -6.895 7.410
ATOMIC_POSITIONS angstrom
Ba 0.000 0.000 0.000
Ba -12.818 -1.907 -0.144
Ba -14.379 -3.447 3.705
Ba -21.568 -5.171 5.558
Ba -7.189 -1.724 1.853
Ba -17.068 -6.428 1.833
Ba -3.638 0.294 -2.509
Ba -24.590 -4.730 2.889
Ba -5.296 -3.606 -1.200
Ba -9.262 -4.556 -0.178
Ba -26.248 -8.629 4.198
Ba -20.624 -3.779 1.867
O -27.760 -6.593 2.494
O -28.722 -9.222 4.836
O -17.006 -3.462 2.564
O -19.838 -6.538 0.908
O -24.466 -7.647 2.101
O -2.127 -1.742 -0.805
O -7.795 -2.302 -1.036
O -5.421 -0.688 -0.412
O -8.187 0.270 -0.165
O -27.226 -5.913 5.198
O -6.366 1.304 -2.226
O -10.993 0.194 -1.033
O -14.594 -5.835 1.195
O -18.893 -8.530 2.722
O -17.946 -1.482 0.761
O -21.184 -7.947 4.468
O -15.292 -2.500 0.494
O -19.302 -5.853 3.627
O -12.347 -4.192 1.829
O -23.521 -9.639 3.915
O -10.049 -1.797 0.781
O -1.165 0.887 -3.147
O -23.929 -6.963 4.820
O -28.166 -3.932 3.394
O -17.540 -4.143 -0.140
O -8.703 -0.388 -2.779
O -2.660 -2.423 -3.509
O -1.721 -4.403 -1.705
O -5.957 -1.372 -3.131
O -22.092 -6.033 2.725
O -10.585 -2.482 -1.938
O -11.941 -6.854 0.928
O -21.699 -8.605 1.854
O -12.880 -4.873 -0.875
Nb -23.057 -7.864 3.376
Nb -20.259 -7.193 2.655
Nb -9.628 -1.142 -0.966
Nb -6.829 -0.471 -1.687
V -12.970 -5.445 0.777
V -16.917 -2.890 0.912
V -28.298 -5.618 3.845
V -1.589 -2.717 -2.156
Na -3.573 -0.857 0.921
Na -10.806 -2.591 2.784
Na -17.951 -4.304 4.626
Na -25.185 -6.038 6.490
! SG ... P6_3/mmc, No. 194
! Relative energy among the computed polymorphs ... 0.9 kJ/mol of atoms
! Energy with MP2020 corrections ... -7.7159 eV per atom
! Size of the total moment ... 0.0 μB/f.u.


Entry 11:
! BaNaNdWO6, relaxed, DFT PBE with a Hubbard U; values from VASP
&SYSTEM
  ibrav = 0, nat = 40, ntyp = 5
/
ATOMIC_SPECIES
Ba 137.33 Ba.upf
O 16.00 O.upf
Na 22.99 Na.upf
Nd 144.24 Nd.upf
W 183.84 W.upf
CELL_PARAMETERS angstrom
-6.214 5.432 -2.132
-5.430 -4.260 4.975
2.101 4.977 6.555
ATOMIC_POSITIONS angstrom
Ba -3.107 2.716 -1.066
Ba -1.665 0.358 5.765
Ba 0.000 0.000 0.000
Ba -4.772 3.074 4.699
O -1.340 2.452 0.969
O -9.679 3.428 3.671
O -7.028 3.355 2.808
O -2.056 2.973 3.641
O -2.763 2.599 6.817
O -8.828 1.310 2.099
O -9.388 0.891 4.734
O -2.716 0.101 1.058
O -4.017 2.463 1.750
O -7.588 2.937 5.443
O -4.893 0.907 6.647
O -3.101 5.588 5.426
O -6.737 0.818 3.871
O -3.432 0.622 3.730
O -0.755 0.611 2.949
O -5.232 3.428 7.749
O -5.338 1.192 9.412
O -4.549 5.480 3.065
O -4.335 8.003 6.057
O -5.783 7.895 3.696
O -5.864 5.721 5.441
O -2.869 0.363 8.480
O -3.021 7.762 3.681
O -3.208 2.884 9.582
Na 1.051 2.488 3.277
Na -5.822 0.586 1.421
Na -2.715 -2.130 2.487
Na -2.056 5.204 2.212
Nd -5.101 -0.593 4.837
Nd -1.335 4.025 5.627
Nd -5.493 4.253 1.284
Nd -7.157 4.611 7.048
W -4.050 1.896 8.114
W -2.386 1.537 2.349
W -4.442 6.741 4.561
W -8.208 2.123 3.771
! SG ... Pnnn, No. 48
! Relative energy among the computed polymorphs ... 0.0 kJ/mol of atoms
! Energy with MP2020 corrections ... -7.9212 eV per atom
! Size of the total moment ... 0.0 μB/f.u.


Entry 12:
! BaNaNdWO6, relaxed, DFT PBE with a Hubbard U; values from VASP
&SYSTEM
  ibrav = 0, nat = 10, ntyp = 5
/
ATOMIC_SPECIES
Na 22.99 Na.upf
O 16.00 O.upf
Ba 137.33 Ba.upf
Nd 144.24 Nd.upf
W 183.84 W.upf
CELL_PARAMETERS angstrom
2.159 5.372 1.808
-3.175 5.057 -1.062
-2.647 2.940 4.597
ATOMIC_POSITIONS angstrom
Na -0.916 3.342 1.336
O -1.460 8.392 1.793
O -2.204 4.977 3.549
O -1.219 7.427 4.374
O -0.012 6.086 2.277
O -2.445 5.942 0.969
O -3.652 7.283 3.065
Ba -2.748 10.027 4.007
Nd 0.000 0.000 0.000
W -1.832 6.685 2.671
! SG ... F-43m, No. 216
! Relative energy among the computed polymorphs ... 1.4 kJ/mol of atoms
! Energy with MP2020 corrections ... -7.9067 eV per atom
! Size of the total moment ... 0.0 μB/f.u.